A geometry-optimized MgV4O8 structure, computed with PBE with a Hubbard U.

Energy above the lowest structure with this stoichiometry in eV/atom: 0.119
Symmetry: No. 1
Theoretical density in kg/m3: 4261
Calculated total energy in eV/atom: -7.440
Magnetic moment in μB/f.u.: 2.0

a b c (Å): 4.8624 5.6600 5.6804
angles (deg): 62.62 90.83 91.61
With the nearest neighbours (Å) after each atom.
Atoms (fractional coordinates):
Mg (0.9941, 0.2496, 0.2459)  6 O 1.94-2.08
V (0.9948, 0.7480, 0.2492)  6 O 2.04-2.10
V (0.9954, 0.2480, 0.7466)  4 O 1.87-2.02
V (0.4940, 0.2474, 0.2474)  6 O 1.95-2.01
V (0.4950, 0.7484, 0.7488)  6 O 2.09-2.11
O (0.2266, 0.0947, 0.0807)  1 Mg 1.94, 3 V 2.00-2.05
O (0.7182, 0.9257, 0.3961)  3 V 1.97-2.10, 1 Mg 2.08
O (0.7217, 0.3984, 0.9304)  3 V 1.95-2.12, 1 Mg 2.07
O (0.7631, 0.4011, 0.4156)  1 Mg 1.94, 3 V 2.01-2.05
O (0.1941, 0.5718, 0.6054)  2 V 1.87-2.04
O (0.2716, 0.5707, 0.1016)  3 V 1.97-2.10, 1 Mg 2.08
O (0.2662, 0.0982, 0.5652)  3 V 1.95-2.11, 1 Mg 2.08
O (0.7958, 0.9241, 0.8932)  2 V 1.88-2.04